La2Si2O7 (PBE-GGA, optimized geometry); SG = P2_1/c (14); mass density = 3.35 g/cm³; uncorrected energy = -7.540 eV/atom
1.0
8.594 0.000 0.000
0.000 6.535 0.000
0.000 0.241 15.744
O La Si
28 8 8
direct
0.043 0.263 0.219 O
0.514 0.123 0.262 O
0.447 0.321 0.232 O
0.502 0.152 0.558 O
0.842 0.893 0.636 O
0.342 0.107 0.864 O
0.842 0.150 0.338 O
0.543 0.737 0.281 O
0.002 0.848 0.942 O
0.158 0.107 0.364 O
0.658 0.893 0.136 O
0.986 0.123 0.762 O
0.998 0.152 0.058 O
0.553 0.679 0.768 O
0.576 0.465 0.401 O
0.342 0.850 0.162 O
0.158 0.850 0.662 O
0.947 0.679 0.268 O
0.424 0.535 0.599 O
0.053 0.321 0.732 O
0.658 0.150 0.838 O
0.014 0.877 0.238 O
0.457 0.263 0.719 O
0.498 0.848 0.442 O
0.957 0.737 0.781 O
0.486 0.877 0.738 O
0.076 0.535 0.099 O
0.924 0.465 0.901 O
0.901 0.821 0.084 La
0.777 0.426 0.776 La
0.723 0.426 0.276 La
0.099 0.179 0.916 La
0.223 0.574 0.224 La
0.599 0.821 0.584 La
0.277 0.574 0.724 La
0.401 0.179 0.416 La
0.550 0.342 0.622 Si
0.450 0.658 0.378 Si
0.988 0.900 0.699 Si
0.488 0.100 0.801 Si
0.012 0.100 0.301 Si
0.512 0.900 0.199 Si
0.950 0.342 0.122 Si
0.050 0.658 0.878 Si

---

La2Si2O7 (PBE-GGA, optimized geometry); SG = P2_1/c (14); mass density = 4.97 g/cm³; uncorrected energy = -8.245 eV/atom
1.0
-22.587 4.780 4.923
0.667 -3.531 6.486
2.834 8.685 4.568
O Si La
84 24 24
direct
0.725 0.208 0.604 O
0.551 0.628 0.303 O
0.506 0.946 0.379 O
0.832 0.563 0.616 O
0.400 0.037 0.055 O
0.391 0.848 0.275 O
0.491 0.832 0.134 O
0.168 0.437 0.384 O
0.781 0.711 0.403 O
0.715 0.382 0.356 O
0.894 0.462 0.045 O
0.109 0.180 0.957 O
0.100 0.037 0.555 O
0.285 0.370 0.400 O
0.215 0.124 0.345 O
0.009 0.832 0.634 O
0.785 0.630 0.100 O
0.676 0.048 0.398 O
0.051 0.372 0.197 O
0.492 0.575 0.880 O
0.785 0.876 0.655 O
0.211 0.867 0.599 O
0.911 0.296 0.782 O
0.719 0.711 0.903 O
0.285 0.124 0.845 O
0.097 0.094 0.282 O
0.449 0.372 0.697 O
0.110 0.352 0.733 O
0.008 0.575 0.380 O
0.609 0.152 0.725 O
0.609 0.820 0.543 O
0.285 0.618 0.644 O
0.785 0.382 0.856 O
0.324 0.952 0.602 O
0.013 0.348 0.878 O
0.668 0.563 0.116 O
0.494 0.054 0.621 O
0.891 0.820 0.043 O
0.225 0.792 0.896 O
0.106 0.677 0.550 O
0.903 0.906 0.718 O
0.508 0.425 0.120 O
0.992 0.425 0.620 O
0.949 0.628 0.803 O
0.606 0.462 0.545 O
0.509 0.168 0.866 O
0.775 0.208 0.104 O
0.289 0.867 0.099 O
0.394 0.538 0.455 O
0.394 0.677 0.050 O
0.403 0.094 0.782 O
0.176 0.952 0.102 O
0.610 0.648 0.767 O
0.600 0.963 0.945 O
0.411 0.704 0.718 O
0.606 0.323 0.950 O
0.994 0.946 0.879 O
0.597 0.906 0.218 O
0.824 0.048 0.898 O
0.109 0.848 0.775 O
0.332 0.437 0.884 O
0.900 0.963 0.445 O
0.219 0.289 0.597 O
0.991 0.168 0.366 O
0.891 0.152 0.225 O
0.089 0.704 0.218 O
0.589 0.296 0.282 O
0.987 0.652 0.122 O
0.275 0.792 0.396 O
0.715 0.876 0.155 O
0.281 0.289 0.097 O
0.215 0.618 0.144 O
0.894 0.323 0.450 O
0.711 0.133 0.901 O
0.390 0.352 0.233 O
0.391 0.180 0.457 O
0.513 0.652 0.622 O
0.789 0.133 0.401 O
0.487 0.348 0.378 O
0.106 0.538 0.955 O
0.215 0.370 0.900 O
0.890 0.648 0.267 O
0.006 0.054 0.121 O
0.715 0.630 0.600 O
0.083 0.359 0.883 Si
0.780 0.692 0.565 Si
0.776 0.193 0.942 Si
0.965 0.841 0.761 Si
0.917 0.641 0.117 Si
0.035 0.159 0.239 Si
0.465 0.159 0.739 Si
0.224 0.807 0.058 Si
0.417 0.359 0.383 Si
0.720 0.692 0.065 Si
0.080 0.851 0.627 Si
0.220 0.308 0.435 Si
0.280 0.308 0.935 Si
0.276 0.807 0.558 Si
0.467 0.582 0.734 Si
0.533 0.418 0.266 Si
0.967 0.418 0.766 Si
0.580 0.149 0.873 Si
0.724 0.193 0.442 Si
0.033 0.582 0.234 Si
0.920 0.149 0.373 Si
0.535 0.841 0.261 Si
0.420 0.851 0.127 Si
0.583 0.641 0.617 Si
0.075 0.357 0.507 La
0.184 0.595 0.739 La
0.158 0.851 0.361 La
0.834 0.672 0.864 La
0.577 0.134 0.492 La
0.077 0.866 0.008 La
0.575 0.643 0.993 La
0.166 0.328 0.136 La
0.684 0.910 0.736 La
0.925 0.643 0.493 La
0.184 0.090 0.764 La
0.425 0.357 0.007 La
0.684 0.405 0.761 La
0.342 0.851 0.861 La
0.658 0.149 0.139 La
0.334 0.328 0.636 La
0.816 0.910 0.236 La
0.842 0.149 0.639 La
0.316 0.595 0.239 La
0.423 0.866 0.508 La
0.923 0.134 0.992 La
0.816 0.405 0.261 La
0.316 0.090 0.264 La
0.666 0.672 0.364 La

---

La2Si2O7 (PBE-GGA, optimized geometry); SG = P4_1 (76); mass density = 4.91 g/cm³; uncorrected energy = -8.261 eV/atom
1.0
-3.446 -4.401 -4.076
5.982 -2.876 -1.952
-1.647 -16.379 19.079
Si O La
16 56 16
direct
0.234 0.142 0.233 Si
0.729 0.377 0.979 Si
0.142 0.766 0.983 Si
0.978 0.295 0.879 Si
0.623 0.729 0.229 Si
0.766 0.858 0.733 Si
0.300 0.395 0.135 Si
0.271 0.623 0.479 Si
0.377 0.271 0.729 Si
0.395 0.700 0.885 Si
0.700 0.605 0.635 Si
0.605 0.300 0.385 Si
0.295 0.022 0.629 Si
0.705 0.978 0.129 Si
0.858 0.234 0.483 Si
0.022 0.705 0.379 Si
0.189 0.243 0.095 O
0.426 0.130 0.677 O
0.334 0.428 0.509 O
0.990 0.541 0.333 O
0.508 0.517 0.860 O
0.364 0.275 0.191 O
0.572 0.334 0.759 O
0.559 0.862 0.904 O
0.240 0.453 0.710 O
0.845 0.049 0.702 O
0.130 0.574 0.427 O
0.214 0.821 0.654 O
0.271 0.944 0.008 O
0.729 0.056 0.508 O
0.243 0.811 0.845 O
0.757 0.189 0.345 O
0.837 0.129 0.854 O
0.615 0.893 0.783 O
0.492 0.483 0.360 O
0.138 0.559 0.154 O
0.757 0.862 0.269 O
0.811 0.757 0.595 O
0.163 0.871 0.354 O
0.453 0.760 0.460 O
0.385 0.107 0.283 O
0.547 0.240 0.960 O
0.666 0.572 0.009 O
0.944 0.729 0.758 O
0.049 0.155 0.452 O
0.786 0.179 0.154 O
0.138 0.757 0.519 O
0.893 0.385 0.533 O
0.459 0.990 0.583 O
0.862 0.243 0.019 O
0.870 0.426 0.927 O
0.010 0.459 0.833 O
0.179 0.214 0.904 O
0.821 0.786 0.404 O
0.243 0.138 0.769 O
0.636 0.725 0.691 O
0.275 0.636 0.941 O
0.951 0.845 0.952 O
0.441 0.138 0.404 O
0.541 0.010 0.083 O
0.862 0.441 0.654 O
0.155 0.951 0.202 O
0.483 0.508 0.110 O
0.056 0.271 0.258 O
0.129 0.163 0.604 O
0.107 0.615 0.033 O
0.871 0.837 0.104 O
0.725 0.364 0.441 O
0.574 0.870 0.177 O
0.428 0.666 0.259 O
0.517 0.492 0.610 O
0.760 0.547 0.210 O
0.221 0.298 0.998 La
0.825 0.474 0.102 La
0.175 0.526 0.602 La
0.526 0.825 0.352 La
0.230 0.875 0.109 La
0.779 0.702 0.498 La
0.702 0.221 0.248 La
0.770 0.125 0.609 La
0.084 0.653 0.248 La
0.125 0.230 0.359 La
0.875 0.770 0.859 La
0.474 0.175 0.852 La
0.347 0.084 0.498 La
0.653 0.916 0.998 La
0.916 0.347 0.748 La
0.298 0.779 0.748 La